Entry 1:
The following is a PBE calculation of an optimized crystal structure of CuH16PtC4N4O11, from the Materials Project database.

Values from the calculation:
VASP energy (eV/cell): -213.7
MP2020-corrected energy (eV/atom): -5.98
Symmetry: No. 5
Formation energy (eV/atom): -0.87

```
data_CuH16PtC4N4O11
_symmetry_space_group_name_H-M 'P 1'
_symmetry_Int_Tables_number 1
_symmetry_space_group_name_Hall 'P 1'
_cell_length_a 9.206
_cell_length_b 9.206
_cell_length_c 7.462
_cell_angle_alpha 113.87
_cell_angle_beta 113.87
_cell_angle_gamma 44.53
loop_
_atom_site_label
_atom_site_type_symbol
_atom_site_fract_x
_atom_site_fract_y
_atom_site_fract_z
_atom_site_occupancy
Cu1 Cu 0.000 0.000 0.000 1
H1 H 0.141 0.690 0.519 1
H2 H 0.153 0.645 0.284 1
H3 H 0.228 0.460 0.377 1
H4 H 0.310 0.859 0.481 1
H5 H 0.316 0.286 0.905 1
H6 H 0.353 0.251 0.701 1
H7 H 0.355 0.847 0.716 1
H8 H 0.525 0.163 0.311 1
H9 H 0.540 0.772 0.623 1
H10 H 0.709 0.091 0.515 1
H11 H 0.714 0.684 0.095 1
H12 H 0.749 0.647 0.299 1
H13 H 0.754 0.078 0.312 1
H14 H 0.837 0.475 0.689 1
H15 H 0.909 0.291 0.485 1
H16 H 0.922 0.246 0.688 1
Pt1 Pt 0.532 0.468 0.500 1
C1 C 0.202 0.139 0.067 1
C2 C 0.207 0.135 0.274 1
C3 C 0.861 0.798 0.933 1
C4 C 0.865 0.793 0.726 1
N1 N 0.229 0.579 0.409 1
N2 N 0.421 0.771 0.591 1
N3 N 0.643 0.165 0.399 1
N4 N 0.835 0.357 0.601 1
O1 O 0.127 0.063 0.275 1
O2 O 0.129 0.060 0.915 1
O3 O 0.271 0.213 0.059 1
O4 O 0.286 0.198 0.424 1
O5 O 0.359 0.322 0.839 1
O6 O 0.678 0.641 0.161 1
O7 O 0.732 0.268 0.000 1
O8 O 0.787 0.729 0.941 1
O9 O 0.802 0.714 0.576 1
O10 O 0.937 0.873 0.725 1
O11 O 0.940 0.871 0.085 1
```

Entry 2:
The following is a PBE calculation of an optimized crystal structure of CuH20C2S3N8O8, from the Materials Project database.

Values from the calculation:
VASP energy (eV/cell): -921.9
MP2020-corrected energy (eV/atom): -5.62
Symmetry: No. 14
Formation energy (eV/atom): -0.64

```
data_CuH20C2S3N8O8
_symmetry_space_group_name_H-M 'P 1'
_symmetry_Int_Tables_number 1
_symmetry_space_group_name_Hall 'P 1'
_cell_length_a 13.412
_cell_length_b 8.389
_cell_length_c 17.139
_cell_angle_alpha 90.00
_cell_angle_beta 122.28
_cell_angle_gamma 90.00
loop_
_atom_site_label
_atom_site_type_symbol
_atom_site_fract_x
_atom_site_fract_y
_atom_site_fract_z
_atom_site_occupancy
Cu1 Cu 0.130 0.039 0.145 1
Cu2 Cu 0.130 0.461 0.645 1
Cu3 Cu 0.870 0.539 0.355 1
Cu4 Cu 0.870 0.961 0.855 1
H1 H 0.009 0.167 0.203 1
H2 H 0.009 0.333 0.703 1
H3 H 0.023 0.069 0.351 1
H4 H 0.023 0.431 0.851 1
H5 H 0.063 0.501 0.358 1
H6 H 0.063 0.999 0.858 1
H7 H 0.088 0.030 0.721 1
H8 H 0.088 0.470 0.221 1
H9 H 0.104 0.591 0.095 1
H10 H 0.104 0.909 0.595 1
H11 H 0.112 0.720 0.720 1
H12 H 0.112 0.780 0.220 1
H13 H 0.168 0.565 0.795 1
H14 H 0.168 0.935 0.295 1
H15 H 0.181 0.713 0.444 1
H16 H 0.181 0.787 0.944 1
H17 H 0.228 0.511 0.013 1
H18 H 0.228 0.989 0.513 1
H19 H 0.293 0.671 0.081 1
H20 H 0.293 0.829 0.581 1
H21 H 0.312 0.546 0.446 1
H22 H 0.312 0.954 0.946 1
H23 H 0.317 0.743 0.343 1
H24 H 0.317 0.757 0.843 1
H25 H 0.318 0.041 0.685 1
H26 H 0.318 0.459 0.185 1
H27 H 0.328 0.151 0.764 1
H28 H 0.328 0.349 0.264 1
H29 H 0.382 0.708 0.496 1
H30 H 0.382 0.792 0.996 1
H31 H 0.412 0.222 0.077 1
H32 H 0.412 0.278 0.577 1
H33 H 0.423 0.167 0.393 1
H34 H 0.423 0.333 0.893 1
H35 H 0.480 0.172 0.727 1
H36 H 0.480 0.328 0.227 1
H37 H 0.490 0.584 0.352 1
H38 H 0.490 0.916 0.852 1
H39 H 0.495 0.146 0.498 1
H40 H 0.495 0.354 0.998 1
H41 H 0.505 0.646 0.002 1
H42 H 0.505 0.854 0.502 1
H43 H 0.510 0.084 0.148 1
H44 H 0.510 0.416 0.648 1
H45 H 0.520 0.672 0.773 1
H46 H 0.520 0.828 0.273 1
H47 H 0.577 0.667 0.107 1
H48 H 0.577 0.833 0.607 1
H49 H 0.588 0.722 0.423 1
H50 H 0.588 0.778 0.923 1
H51 H 0.618 0.208 0.004 1
H52 H 0.618 0.292 0.504 1
H53 H 0.672 0.651 0.736 1
H54 H 0.672 0.849 0.236 1
H55 H 0.682 0.541 0.815 1
H56 H 0.682 0.959 0.315 1
H57 H 0.683 0.243 0.157 1
H58 H 0.683 0.257 0.657 1
H59 H 0.688 0.046 0.054 1
H60 H 0.688 0.454 0.554 1
H61 H 0.707 0.171 0.419 1
H62 H 0.707 0.329 0.919 1
H63 H 0.772 0.011 0.487 1
H64 H 0.772 0.489 0.987 1
H65 H 0.819 0.213 0.056 1
H66 H 0.819 0.287 0.556 1
H67 H 0.832 0.065 0.705 1
H68 H 0.832 0.435 0.205 1
H69 H 0.888 0.220 0.780 1
H70 H 0.888 0.280 0.280 1
H71 H 0.896 0.091 0.405 1
H72 H 0.896 0.409 0.905 1
H73 H 0.912 0.530 0.779 1
H74 H 0.912 0.970 0.279 1
H75 H 0.937 0.001 0.142 1
H76 H 0.937 0.499 0.642 1
H77 H 0.977 0.569 0.149 1
H78 H 0.977 0.931 0.649 1
H79 H 0.991 0.667 0.297 1
H80 H 0.991 0.833 0.797 1
C1 C 0.061 0.732 0.984 1
C2 C 0.061 0.768 0.484 1
C3 C 0.354 0.646 0.752 1
C4 C 0.354 0.854 0.252 1
C5 C 0.646 0.146 0.748 1
C6 C 0.646 0.354 0.248 1
C7 C 0.939 0.232 0.516 1
C8 C 0.939 0.268 0.016 1
S1 S 0.072 0.217 0.029 1
S2 S 0.072 0.283 0.529 1
S3 S 0.203 0.240 0.363 1
S4 S 0.203 0.260 0.863 1
S5 S 0.302 0.526 0.656 1
S6 S 0.302 0.974 0.156 1
S7 S 0.698 0.026 0.844 1
S8 S 0.698 0.474 0.344 1
S9 S 0.797 0.740 0.137 1
S10 S 0.797 0.760 0.637 1
S11 S 0.928 0.717 0.471 1
S12 S 0.928 0.783 0.971 1
N1 N 0.019 0.604 0.358 1
N2 N 0.019 0.896 0.858 1
N3 N 0.097 0.704 0.432 1
N4 N 0.097 0.796 0.932 1
N5 N 0.129 0.627 0.050 1
N6 N 0.129 0.873 0.550 1
N7 N 0.172 0.625 0.744 1
N8 N 0.172 0.875 0.244 1
N9 N 0.240 0.575 0.069 1
N10 N 0.240 0.925 0.569 1
N11 N 0.286 0.689 0.784 1
N12 N 0.286 0.811 0.284 1
N13 N 0.464 0.702 0.796 1
N14 N 0.464 0.798 0.296 1
N15 N 0.499 0.201 0.127 1
N16 N 0.499 0.299 0.627 1
N17 N 0.501 0.701 0.373 1
N18 N 0.501 0.799 0.873 1
N19 N 0.536 0.202 0.704 1
N20 N 0.536 0.298 0.204 1
N21 N 0.714 0.189 0.716 1
N22 N 0.714 0.311 0.216 1
N23 N 0.760 0.075 0.431 1
N24 N 0.760 0.425 0.931 1
N25 N 0.828 0.125 0.756 1
N26 N 0.828 0.375 0.256 1
N27 N 0.871 0.127 0.450 1
N28 N 0.871 0.373 0.950 1
N29 N 0.903 0.204 0.068 1
N30 N 0.903 0.296 0.568 1
N31 N 0.981 0.104 0.142 1
N32 N 0.981 0.396 0.642 1
O1 O 0.064 0.561 0.178 1
O2 O 0.064 0.939 0.678 1
O3 O 0.090 0.173 0.798 1
O4 O 0.090 0.327 0.298 1
O5 O 0.172 0.081 0.385 1
O6 O 0.172 0.419 0.885 1
O7 O 0.266 0.212 0.314 1
O8 O 0.266 0.288 0.814 1
O9 O 0.276 0.166 0.948 1
O10 O 0.276 0.334 0.448 1
O11 O 0.309 0.663 0.441 1
O12 O 0.309 0.837 0.941 1
O13 O 0.374 0.083 0.748 1
O14 O 0.374 0.417 0.248 1
O15 O 0.495 0.649 0.055 1
O16 O 0.495 0.851 0.555 1
O17 O 0.505 0.149 0.445 1
O18 O 0.505 0.351 0.945 1
O19 O 0.626 0.583 0.752 1
O20 O 0.626 0.917 0.252 1
O21 O 0.691 0.163 0.059 1
O22 O 0.691 0.337 0.559 1
O23 O 0.724 0.666 0.552 1
O24 O 0.724 0.834 0.052 1
O25 O 0.734 0.712 0.186 1
O26 O 0.734 0.788 0.686 1
O27 O 0.828 0.581 0.115 1
O28 O 0.828 0.919 0.615 1
O29 O 0.910 0.673 0.702 1
O30 O 0.910 0.827 0.202 1
O31 O 0.936 0.061 0.322 1
O32 O 0.936 0.439 0.822 1
```

Entry 3:
The following is a PBE calculation of an optimized crystal structure of CuH4C2S2N2O2, from the Materials Project database.

Values from the calculation:
VASP energy (eV/cell): -297.5
MP2020-corrected energy (eV/atom): -5.90
Symmetry: No. 62
Formation energy (eV/atom): -0.44

```
data_CuH4C2S2N2O2
_symmetry_space_group_name_H-M 'P 1'
_symmetry_Int_Tables_number 1
_symmetry_space_group_name_Hall 'P 1'
_cell_length_a 15.485
_cell_length_b 5.477
_cell_length_c 8.898
_cell_angle_alpha 90.00
_cell_angle_beta 90.00
_cell_angle_gamma 90.00
loop_
_atom_site_label
_atom_site_type_symbol
_atom_site_fract_x
_atom_site_fract_y
_atom_site_fract_z
_atom_site_occupancy
Cu1 Cu 0.178 0.250 0.106 1
Cu2 Cu 0.322 0.750 0.606 1
Cu3 Cu 0.678 0.250 0.394 1
Cu4 Cu 0.822 0.750 0.894 1
H1 H 0.032 0.105 0.268 1
H2 H 0.032 0.395 0.268 1
H3 H 0.150 0.608 0.547 1
H4 H 0.150 0.892 0.547 1
H5 H 0.350 0.108 0.047 1
H6 H 0.350 0.392 0.047 1
H7 H 0.468 0.605 0.768 1
H8 H 0.468 0.895 0.768 1
H9 H 0.532 0.105 0.232 1
H10 H 0.532 0.395 0.232 1
H11 H 0.650 0.608 0.953 1
H12 H 0.650 0.892 0.953 1
H13 H 0.850 0.108 0.453 1
H14 H 0.850 0.392 0.453 1
H15 H 0.968 0.605 0.732 1
H16 H 0.968 0.895 0.732 1
C1 C 0.095 0.250 0.796 1
C2 C 0.232 0.750 0.913 1
C3 C 0.268 0.250 0.413 1
C4 C 0.405 0.750 0.296 1
C5 C 0.595 0.250 0.704 1
C6 C 0.732 0.750 0.587 1
C7 C 0.768 0.250 0.087 1
C8 C 0.905 0.750 0.204 1
S1 S 0.044 0.250 0.635 1
S2 S 0.183 0.750 0.076 1
S3 S 0.317 0.250 0.576 1
S4 S 0.456 0.750 0.135 1
S5 S 0.544 0.250 0.865 1
S6 S 0.683 0.750 0.424 1
S7 S 0.817 0.250 0.924 1
S8 S 0.956 0.750 0.365 1
N1 N 0.132 0.250 0.912 1
N2 N 0.229 0.250 0.299 1
N3 N 0.271 0.750 0.799 1
N4 N 0.368 0.750 0.412 1
N5 N 0.632 0.250 0.588 1
N6 N 0.729 0.250 0.201 1
N7 N 0.771 0.750 0.701 1
N8 N 0.868 0.750 0.088 1
O1 O 0.046 0.250 0.207 1
O2 O 0.181 0.750 0.506 1
O3 O 0.319 0.250 0.006 1
O4 O 0.454 0.750 0.707 1
O5 O 0.546 0.250 0.293 1
O6 O 0.681 0.750 0.994 1
O7 O 0.819 0.250 0.494 1
O8 O 0.954 0.750 0.793 1
```

Entry 4:
The following is a PBE calculation of an optimized crystal structure of CuH12C3SN6O7, from the Materials Project database.

Values from the calculation:
VASP energy (eV/cell): -722.5
MP2020-corrected energy (eV/atom): -6.18
Symmetry: No. 60
Formation energy (eV/atom): -0.80

```
data_CuH12C3SN6O7
_symmetry_space_group_name_H-M 'P 1'
_symmetry_Int_Tables_number 1
_symmetry_space_group_name_Hall 'P 1'
_cell_length_a 13.110
_cell_length_b 9.386
_cell_length_c 9.072
_cell_angle_alpha 90.00
_cell_angle_beta 90.00
_cell_angle_gamma 90.00
loop_
_atom_site_label
_atom_site_type_symbol
_atom_site_fract_x
_atom_site_fract_y
_atom_site_fract_z
_atom_site_occupancy
Cu1 Cu 0.000 0.000 0.000 1
Cu2 Cu 0.000 0.000 0.500 1
Cu3 Cu 0.500 0.500 0.000 1
Cu4 Cu 0.500 0.500 0.500 1
H1 H 0.031 0.462 0.140 1
H2 H 0.031 0.538 0.640 1
H3 H 0.060 0.312 0.041 1
H4 H 0.060 0.688 0.541 1
H5 H 0.150 0.290 0.518 1
H6 H 0.150 0.710 0.018 1
H7 H 0.164 0.018 0.227 1
H8 H 0.164 0.982 0.727 1
H9 H 0.209 0.326 0.351 1
H10 H 0.209 0.674 0.851 1
H11 H 0.216 0.399 0.732 1
H12 H 0.216 0.601 0.232 1
H13 H 0.284 0.101 0.232 1
H14 H 0.284 0.899 0.732 1
H15 H 0.291 0.174 0.851 1
H16 H 0.291 0.826 0.351 1
H17 H 0.336 0.482 0.727 1
H18 H 0.336 0.518 0.227 1
H19 H 0.350 0.210 0.018 1
H20 H 0.350 0.790 0.518 1
H21 H 0.440 0.188 0.541 1
H22 H 0.440 0.812 0.041 1
H23 H 0.469 0.038 0.640 1
H24 H 0.469 0.962 0.140 1
H25 H 0.531 0.038 0.860 1
H26 H 0.531 0.962 0.360 1
H27 H 0.560 0.188 0.959 1
H28 H 0.560 0.812 0.459 1
H29 H 0.650 0.210 0.482 1
H30 H 0.650 0.790 0.982 1
H31 H 0.664 0.482 0.773 1
H32 H 0.664 0.518 0.273 1
H33 H 0.709 0.174 0.649 1
H34 H 0.709 0.826 0.149 1
H35 H 0.716 0.101 0.268 1
H36 H 0.716 0.899 0.768 1
H37 H 0.784 0.399 0.768 1
H38 H 0.784 0.601 0.268 1
H39 H 0.791 0.326 0.149 1
H40 H 0.791 0.674 0.649 1
H41 H 0.836 0.018 0.273 1
H42 H 0.836 0.982 0.773 1
H43 H 0.850 0.290 0.982 1
H44 H 0.850 0.710 0.482 1
H45 H 0.940 0.312 0.459 1
H46 H 0.940 0.688 0.959 1
H47 H 0.969 0.462 0.360 1
H48 H 0.969 0.538 0.860 1
C1 C 0.000 0.278 0.250 1
C2 C 0.000 0.722 0.750 1
C3 C 0.216 0.092 0.029 1
C4 C 0.216 0.908 0.529 1
C5 C 0.284 0.408 0.529 1
C6 C 0.284 0.592 0.029 1
C7 C 0.500 0.222 0.750 1
C8 C 0.500 0.778 0.250 1
C9 C 0.716 0.408 0.971 1
C10 C 0.716 0.592 0.471 1
C11 C 0.784 0.092 0.471 1
C12 C 0.784 0.908 0.971 1
S1 S 0.000 0.249 0.750 1
S2 S 0.000 0.751 0.250 1
S3 S 0.500 0.251 0.250 1
S4 S 0.500 0.749 0.750 1
N1 N 0.045 0.356 0.141 1
N2 N 0.045 0.644 0.641 1
N3 N 0.207 0.339 0.461 1
N4 N 0.207 0.661 0.961 1
N5 N 0.221 0.071 0.174 1
N6 N 0.221 0.929 0.674 1
N7 N 0.279 0.429 0.674 1
N8 N 0.279 0.571 0.174 1
N9 N 0.293 0.161 0.961 1
N10 N 0.293 0.839 0.461 1
N11 N 0.455 0.144 0.641 1
N12 N 0.455 0.856 0.141 1
N13 N 0.545 0.144 0.859 1
N14 N 0.545 0.856 0.359 1
N15 N 0.707 0.161 0.539 1
N16 N 0.707 0.839 0.039 1
N17 N 0.721 0.429 0.826 1
N18 N 0.721 0.571 0.326 1
N19 N 0.779 0.071 0.326 1
N20 N 0.779 0.929 0.826 1
N21 N 0.793 0.339 0.039 1
N22 N 0.793 0.661 0.539 1
N23 N 0.955 0.356 0.359 1
N24 N 0.955 0.644 0.859 1
O1 O 0.000 0.143 0.250 1
O2 O 0.000 0.857 0.750 1
O3 O 0.051 0.158 0.634 1
O4 O 0.051 0.842 0.134 1
O5 O 0.080 0.339 0.817 1
O6 O 0.080 0.661 0.317 1
O7 O 0.141 0.049 0.949 1
O8 O 0.141 0.951 0.449 1
O9 O 0.359 0.451 0.449 1
O10 O 0.359 0.549 0.949 1
O11 O 0.420 0.161 0.317 1
O12 O 0.420 0.839 0.817 1
O13 O 0.449 0.342 0.134 1
O14 O 0.449 0.658 0.634 1
O15 O 0.500 0.357 0.750 1
O16 O 0.500 0.643 0.250 1
O17 O 0.551 0.342 0.366 1
O18 O 0.551 0.658 0.866 1
O19 O 0.580 0.161 0.183 1
O20 O 0.580 0.839 0.683 1
O21 O 0.641 0.451 0.051 1
O22 O 0.641 0.549 0.551 1
O23 O 0.859 0.049 0.551 1
O24 O 0.859 0.951 0.051 1
O25 O 0.920 0.339 0.683 1
O26 O 0.920 0.661 0.183 1
O27 O 0.949 0.158 0.866 1
O28 O 0.949 0.842 0.366 1
```

- formation energy of number 1 (CuH16PtC4N4O11)?
  -0.87 eV/atom

- Look up the formation energy of the fourth one.
  -0.80 eV/atom

- Which of these has the lowest formation energy?
  CuH16PtC4N4O11

- MP2020-corrected energy of number 3 (CuH4C2S2N2O2)?
  -5.90 eV/atom